(1)
## YMg2 (PBE)

Data for an optimized crystal structure of YMg2.

Values from the calculation:
- E (eV/atom) = -3.31
- E_form (meV/atom) = -89

Unit cell a=6.042 b=6.042 c=6.042 alpha=60.00 beta=60.00 gamma=60.00
Fractional coordinates of all 6 atoms:
Y 0.000 0.000 0.000
Y 0.250 0.250 0.250
Mg 0.625 0.625 0.625
Mg 0.125 0.625 0.625
Mg 0.625 0.125 0.625
Mg 0.625 0.625 0.125

(2)
## InGe3 (PBE)

Data for an optimized crystal structure of InGe3.

Values from the calculation:
- E (eV/atom) = -3.87
- E_form (meV/atom) = 283

Unit cell a=4.392 b=4.392 c=4.392 alpha=90.00 beta=90.00 gamma=90.00
Fractional coordinates of all 4 atoms:
Ge 0.500 0.000 0.000
Ge 0.000 0.500 0.000
Ge 0.000 0.000 0.500
In 0.500 0.500 0.500

(3)
## Cs2KCeI6 (PBE)

Data for an optimized crystal structure of Cs2KCeI6.

Values from the calculation:
- MP2020-corrected energy (eV/cell) = -35.0
- E (eV/atom) = -3.27
- E_form (meV/atom) = -1702

Unit cell a=9.212 b=9.212 c=9.212 alpha=60.00 beta=60.00 gamma=60.00
Fractional coordinates of all 10 atoms:
I 0.760 0.760 0.240
I 0.760 0.240 0.760
I 0.240 0.240 0.760
I 0.760 0.240 0.240
I 0.240 0.760 0.240
I 0.240 0.760 0.760
Cs 0.750 0.750 0.750
Cs 0.250 0.250 0.250
Ce 0.000 0.000 0.000
K 0.500 0.500 0.500

(4)
## Ho6MnBi2 (PBE)

Data for an optimized crystal structure of Ho6MnBi2.

Values from the calculation:
- E (eV/atom) = -5.34
- E_form (meV/atom) = -404

Unit cell a=8.290 b=8.290 c=4.268 alpha=90.00 beta=90.00 gamma=120.00
Fractional coordinates of all 9 atoms:
Ho 0.393 0.393 0.500
Ho 0.000 0.233 0.000
Ho 0.607 0.000 0.500
Ho 0.233 0.000 0.000
Ho 0.767 0.767 0.000
Ho 0.000 0.607 0.500
Bi 0.667 0.333 0.000
Bi 0.333 0.667 0.000
Mn 0.000 0.000 0.500

(5)
## MgTlCl3 (PBE)

Data for an optimized crystal structure of MgTlCl3.

Values from the calculation:
- MP2020-corrected energy (eV/cell) = -75.4
- E (eV/atom) = -3.40
- E_form (meV/atom) = -1871

Unit cell a=7.071 b=7.161 c=10.105 alpha=90.00 beta=90.00 gamma=90.00
Fractional coordinates of all 20 atoms:
Tl 0.017 0.449 0.250
Tl 0.483 0.949 0.250
Tl 0.517 0.051 0.750
Tl 0.983 0.551 0.750
Cl 0.282 0.218 0.475
Cl 0.949 0.001 0.250
Cl 0.782 0.282 0.525
Cl 0.718 0.782 0.525
Cl 0.051 0.999 0.750
Cl 0.282 0.218 0.025
Cl 0.718 0.782 0.975
Cl 0.218 0.718 0.025
Cl 0.782 0.282 0.975
Cl 0.551 0.501 0.250
Cl 0.218 0.718 0.475
Cl 0.449 0.499 0.750
Mg 0.500 0.500 0.500
Mg 0.000 0.000 0.500
Mg 0.500 0.500 0.000
Mg 0.000 0.000 0.000

(6)
## BaAlF5 (PBE)

Data for an optimized crystal structure of BaAlF5.

Values from the calculation:
- MP2020-corrected energy (eV/cell) = -260.9
- ΔE to the lowest computed polymorph (kJ/mol of formula units) = 6
- E (eV/atom) = -5.88
- E_form (meV/atom) = -4034

Unit cell a=5.295 b=7.506 c=15.151 alpha=79.42 beta=88.48 gamma=88.13
Fractional coordinates of all 42 atoms:
F 0.551 0.398 0.373
F 0.055 0.334 0.379
F 0.990 0.287 0.049
F 0.509 0.320 0.056
F 0.189 0.708 0.759
F 0.945 0.666 0.621
F 0.696 0.571 0.776
F 0.262 0.882 0.524
F 0.738 0.118 0.476
F 0.770 0.404 0.568
F 0.024 0.342 0.718
F 0.456 0.718 0.278
F 0.733 0.012 0.137
F 0.737 0.251 0.909
F 0.230 0.596 0.432
F 0.544 0.282 0.722
F 0.021 0.988 0.653
F 0.449 0.602 0.627
F 0.812 0.292 0.240
F 0.979 0.012 0.347
F 0.238 0.751 0.091
F 0.033 0.680 0.946
F 0.246 0.988 0.863
F 0.511 0.713 0.949
F 0.493 0.930 0.660
F 0.507 0.070 0.340
F 0.976 0.658 0.282
F 0.303 0.430 0.225
F 0.453 0.024 0.004
F 0.953 0.977 0.995
Ba 0.756 0.929 0.803
Ba 0.290 0.246 0.556
Ba 0.739 0.597 0.128
Ba 0.241 0.071 0.197
Ba 0.257 0.402 0.871
Ba 0.711 0.754 0.444
Al 0.254 0.531 0.322
Al 0.733 0.155 0.027
Al 0.771 0.204 0.358
Al 0.746 0.469 0.678
Al 0.230 0.797 0.642
Al 0.242 0.846 0.973

(7)
## Sr3CaSn16 (PBE)

Data for an optimized crystal structure of Sr3CaSn16.

Values from the calculation:
- E (eV/atom) = -3.87
- E_form (meV/atom) = -308

Unit cell a=11.455 b=11.455 c=11.455 alpha=156.02 beta=103.85 gamma=81.19
Fractional coordinates of all 20 atoms:
Sn 0.551 0.195 0.357
Sn 0.907 0.803 0.104
Sn 0.910 0.410 0.500
Sn 0.125 0.000 0.125
Sn 0.839 0.590 0.249
Sn 0.199 0.804 0.395
Sn 0.875 0.000 0.875
Sn 0.838 0.195 0.643
Sn 0.050 0.196 0.854
Sn 0.409 0.804 0.605
Sn 0.342 0.196 0.146
Sn 0.341 0.590 0.751
Sn 0.412 0.412 0.000
Sn 0.699 0.803 0.896
Sn 0.378 0.001 0.377
Sn 0.625 0.001 0.623
Sr 0.112 0.612 0.500
Sr 0.138 0.388 0.750
Sr 0.638 0.388 0.250
Ca 0.612 0.612 0.000

(8)
## CeSe2 (PBE)

Data for an optimized crystal structure of CeSe2.

Values from the calculation:
- MP2020-corrected energy (eV/cell) = -73.2
- E (eV/atom) = -5.78
- E_form (meV/atom) = -1789

Unit cell a=6.852 b=7.241 c=7.840 alpha=90.00 beta=90.00 gamma=90.00
Fractional coordinates of all 12 atoms:
Se 0.784 0.584 0.883
Se 0.284 0.416 0.617
Se 0.216 0.416 0.117
Se 0.784 0.084 0.117
Se 0.716 0.084 0.617
Se 0.716 0.584 0.383
Se 0.284 0.916 0.383
Se 0.216 0.916 0.883
Ce 0.500 0.750 0.656
Ce 0.000 0.750 0.156
Ce 0.000 0.250 0.844
Ce 0.500 0.250 0.344

(9)
## Al14Co5Si2 (PBE)

Data for an optimized crystal structure of Al14Co5Si2.

Values from the calculation:
- MP2020-corrected energy (eV/cell) = -855.6
- E (eV/atom) = -5.10
- E_form (meV/atom) = -387

Unit cell a=7.367 b=13.948 c=23.170 alpha=90.00 beta=90.00 gamma=90.00
Fractional coordinates of all 168 atoms:
Al 0.491 0.346 0.660
Al 0.607 0.154 0.314
Al 0.312 0.059 0.152
Al 0.707 0.607 0.583
Al 0.404 0.737 0.921
Al 0.031 0.038 0.660
Al 0.773 0.567 0.081
Al 0.407 0.839 0.314
Al 0.207 0.893 0.417
Al 0.227 0.433 0.581
Al 0.991 0.154 0.160
Al 0.293 0.393 0.083
Al 0.601 0.882 0.419
Al 0.293 0.393 0.417
Al 0.273 0.933 0.581
Al 0.491 0.346 0.840
Al 0.239 0.177 0.688
Al 0.812 0.441 0.848
Al 0.261 0.677 0.812
Al 0.688 0.941 0.848
Al 0.766 0.305 0.750
Al 0.589 0.703 0.024
Al 0.239 0.177 0.812
Al 0.734 0.805 0.750
Al 0.089 0.797 0.524
Al 0.727 0.067 0.419
Al 0.793 0.107 0.583
Al 0.374 0.036 0.470
Al 0.761 0.823 0.312
Al 0.899 0.382 0.081
Al 0.009 0.846 0.840
Al 0.404 0.737 0.579
Al 0.420 0.995 0.250
Al 0.273 0.933 0.919
Al 0.227 0.433 0.919
Al 0.096 0.237 0.921
Al 0.531 0.462 0.160
Al 0.707 0.607 0.917
Al 0.893 0.654 0.314
Al 0.188 0.559 0.152
Al 0.261 0.677 0.688
Al 0.266 0.195 0.250
Al 0.234 0.695 0.250
Al 0.255 0.711 0.072
Al 0.531 0.462 0.340
Al 0.393 0.846 0.686
Al 0.773 0.567 0.419
Al 0.393 0.846 0.814
Al 0.907 0.661 0.814
Al 0.126 0.536 0.030
Al 0.755 0.789 0.928
Al 0.101 0.618 0.581
Al 0.607 0.154 0.186
Al 0.593 0.161 0.686
Al 0.596 0.263 0.079
Al 0.745 0.289 0.572
Al 0.601 0.882 0.081
Al 0.509 0.654 0.340
Al 0.031 0.038 0.840
Al 0.093 0.339 0.186
Al 0.991 0.154 0.340
Al 0.411 0.297 0.976
Al 0.761 0.823 0.188
Al 0.793 0.107 0.917
Al 0.739 0.323 0.312
Al 0.907 0.661 0.686
Al 0.688 0.941 0.652
Al 0.893 0.654 0.186
Al 0.411 0.297 0.524
Al 0.727 0.067 0.081
Al 0.080 0.495 0.250
Al 0.904 0.763 0.079
Al 0.911 0.203 0.024
Al 0.126 0.536 0.470
Al 0.589 0.703 0.476
Al 0.469 0.538 0.840
Al 0.469 0.538 0.660
Al 0.096 0.237 0.579
Al 0.093 0.339 0.314
Al 0.920 0.505 0.750
Al 0.245 0.211 0.072
Al 0.312 0.059 0.348
Al 0.245 0.211 0.428
Al 0.101 0.618 0.919
Al 0.580 0.005 0.750
Al 0.399 0.118 0.919
Al 0.911 0.203 0.476
Al 0.626 0.964 0.530
Al 0.255 0.711 0.428
Al 0.755 0.789 0.572
Al 0.089 0.797 0.976
Al 0.874 0.464 0.530
Al 0.593 0.161 0.814
Al 0.107 0.346 0.686
Al 0.207 0.893 0.083
Al 0.626 0.964 0.970
Al 0.739 0.323 0.188
Al 0.596 0.263 0.421
Al 0.509 0.654 0.160
Al 0.009 0.846 0.660
Al 0.107 0.346 0.814
Al 0.812 0.441 0.652
Al 0.874 0.464 0.970
Al 0.374 0.036 0.030
Al 0.969 0.962 0.340
Al 0.188 0.559 0.348
Al 0.904 0.763 0.421
Al 0.899 0.382 0.419
Al 0.969 0.962 0.160
Al 0.399 0.118 0.581
Al 0.407 0.839 0.186
Al 0.745 0.289 0.928
Co 0.884 0.481 0.333
Co 0.920 0.940 0.576
Co 0.384 0.019 0.833
Co 0.116 0.519 0.833
Co 0.920 0.940 0.924
Co 0.616 0.981 0.167
Co 0.400 0.288 0.163
Co 0.098 0.346 0.003
Co 0.902 0.654 0.997
Co 0.904 0.954 0.750
Co 0.420 0.560 0.424
Co 0.116 0.519 0.667
Co 0.596 0.454 0.750
Co 0.118 0.795 0.750
Co 0.100 0.788 0.163
Co 0.598 0.154 0.997
Co 0.900 0.212 0.663
Co 0.404 0.546 0.250
Co 0.420 0.560 0.076
Co 0.580 0.440 0.924
Co 0.598 0.154 0.503
Co 0.080 0.060 0.076
Co 0.098 0.346 0.497
Co 0.080 0.060 0.424
Co 0.616 0.981 0.333
Co 0.902 0.654 0.503
Co 0.882 0.205 0.250
Co 0.096 0.046 0.250
Co 0.384 0.019 0.667
Co 0.884 0.481 0.167
Co 0.580 0.440 0.576
Co 0.382 0.295 0.750
Co 0.618 0.705 0.250
Co 0.900 0.212 0.837
Co 0.100 0.788 0.337
Co 0.402 0.846 0.497
Co 0.600 0.712 0.837
Co 0.400 0.288 0.337
Co 0.402 0.846 0.003
Co 0.600 0.712 0.663
Si 0.086 0.063 0.972
Si 0.586 0.437 0.472
Si 0.914 0.937 0.028
Si 0.713 0.531 0.250
Si 0.617 0.624 0.750
Si 0.414 0.563 0.972
Si 0.586 0.437 0.028
Si 0.914 0.937 0.472
Si 0.287 0.469 0.750
Si 0.086 0.063 0.528
Si 0.117 0.876 0.250
Si 0.787 0.031 0.250
Si 0.213 0.969 0.750
Si 0.883 0.124 0.750
Si 0.414 0.563 0.528
Si 0.383 0.376 0.250

(10)
## Sr2DyCu3Pb2O8 (PBE)

Data for an optimized crystal structure of Sr2DyCu3Pb2O8.

Values from the calculation:
- MP2020-corrected energy (eV/cell) = -100.4
- E (eV/atom) = -5.93
- E_form (meV/atom) = -2068

Unit cell a=3.834 b=3.834 c=16.031 alpha=90.00 beta=90.00 gamma=90.00
Fractional coordinates of all 16 atoms:
Cu 0.500 0.500 0.896
Cu 0.000 0.000 0.500
Cu 0.500 0.500 0.104
O 0.500 0.000 0.909
O 0.000 0.000 0.384
O 0.000 0.500 0.091
O 0.000 0.500 0.909
O 0.500 0.500 0.750
O 0.500 0.000 0.091
O 0.500 0.500 0.250
O 0.000 0.000 0.616
Sr 0.000 0.000 0.220
Sr 0.000 0.000 0.780
Pb 0.500 0.500 0.613
Pb 0.500 0.500 0.387
Dy 0.000 0.000 0.000

(11)
## ErGaRh2 (PBE)

Data for an optimized crystal structure of ErGaRh2.

Values from the calculation:
- E (eV/atom) = -6.44
- E_form (meV/atom) = -860

Unit cell a=4.549 b=4.549 c=4.549 alpha=60.00 beta=60.00 gamma=60.00
Fractional coordinates of all 4 atoms:
Rh 0.250 0.250 0.250
Rh 0.750 0.750 0.750
Ga 0.000 0.000 0.000
Er 0.500 0.500 0.500

(12)
## BaN2 (PBE)

Data for an optimized crystal structure of BaN2.

Values from the calculation:
- MP2020-corrected energy (eV/cell) = -41.7
- E (eV/atom) = -6.71
- E_form (meV/atom) = -753

Unit cell a=4.267 b=4.267 c=7.338 alpha=77.21 beta=77.21 gamma=63.39
Fractional coordinates of all 6 atoms:
Ba 0.788 0.212 0.750
Ba 0.212 0.788 0.250
N 0.852 0.555 0.046
N 0.445 0.148 0.454
N 0.148 0.445 0.954
N 0.555 0.852 0.546